Density functional theory data (GGA-PBE) for a relaxed structure of PuUP4H4C2O16.

```
data_PuUP4H4C2O16
_chemical_formula_sum 'Pu2 U2 P8 H8 C4 O32'
_symmetry_space_group_name_H-M 'P 1 21/m 1'
_symmetry_Int_Tables_number 11
_symmetry_space_group_name_Hall '-P 2yb'
_cell_length_a 5.622
_cell_length_b 20.339
_cell_length_c 7.213
_cell_angle_alpha 90.00
_cell_angle_beta 99.96
_cell_angle_gamma 90.00
loop_
_atom_site_label
_atom_site_fract_x
_atom_site_fract_y
_atom_site_fract_z
_atom_site_occupancy
Pu1 0.184 0.250 0.153 1
U1 0.000 0.000 0.500 1
P1 0.303 0.635 0.784 1
P2 0.405 0.122 0.819 1
H1 0.280 0.552 0.017 1
H2 0.451 0.049 0.086 1
C1 0.427 0.581 0.974 1
O1 0.034 0.750 0.134 1
O2 0.095 0.675 0.848 1
O3 0.185 0.250 0.403 1
O4 0.189 0.011 0.322 1
O5 0.209 0.592 0.615 1
O6 0.243 0.069 0.712 1
O7 0.264 0.179 0.895 1
O8 0.426 0.654 0.298 1
O9 0.495 0.181 0.253 1
```

Values from the calculation:
Crystal system = monoclinic
ΔE_f = -1898 meV/atom
Uncorrected energy = -200.6 eV per formula unit